1.
Entry from the Materials Project: a geometry-optimized CaCo2O4 structure (PBE+U).

a = 6.1848 Å, b = 6.1848 Å, c = 15.2589 Å
α = 90.00°, β = 90.00°, γ = 120.00°
Positions (direct):
Ca1 0.6667 0.3333 0.0424
Ca2 0.0000 0.0000 0.3785
Ca3 0.3333 0.6667 0.3368
Ca4 0.3333 0.6667 0.7227
Ca5 0.0000 0.0000 0.9939
Ca6 0.0000 0.0000 0.6209
Co1 0.1638 0.8362 0.1653
Co2 0.6724 0.8362 0.1653
Co3 0.4994 0.5006 0.5067
Co4 0.1638 0.3276 0.1653
Co5 0.0011 0.5006 0.5067
Co6 0.6667 0.3333 0.6661
Co7 0.6667 0.3333 0.2823
Co8 0.8311 0.1689 0.8276
Co9 0.4994 0.9989 0.5067
Co10 0.3379 0.1689 0.8276
Co11 0.8311 0.6621 0.8276
Co12 0.3333 0.6667 0.9521
O1 0.8521 0.1479 0.1000
O2 0.0000 0.0000 0.2363
O3 0.2957 0.1479 0.1000
O4 0.8521 0.7043 0.1000
O5 0.1801 0.8199 0.4465
O6 0.4916 0.9831 0.2351
O7 0.3333 0.6667 0.5782
O8 0.0169 0.5084 0.2351
O9 0.3333 0.6667 0.0859
O10 0.6399 0.8199 0.4465
O11 0.1801 0.3601 0.4465
O12 0.4916 0.5084 0.2351
O13 0.5324 0.4676 0.7488
O14 0.8020 0.6040 0.5829
O15 0.3960 0.1980 0.5829
O16 0.6667 0.3333 0.8960
O17 0.6667 0.3333 0.4227
O18 0.9353 0.4676 0.7488
O19 0.5324 0.0647 0.7488
O20 0.8020 0.1980 0.5829
O21 0.1654 0.3308 0.8933
O22 0.6692 0.8346 0.8933
O23 0.0000 0.0000 0.7652
O24 0.1654 0.8346 0.8933

Properties
The value obtained for the distance to the lowest polymorph of the same formula is 128.3 meV per atom. As for the calculated formation energy: -1757.4 meV per atom. The total magnetization comes out at 0.19 μB per atom.


2.
Entry from the Materials Project: a geometry-optimized Ca2Co2O5 structure (PBE+U).

a = 15.1022 Å, b = 5.3327 Å, c = 11.1204 Å
α = 89.60°, β = 90.00°, γ = 90.00°
Positions (direct):
Ca1 0.3897 0.0208 0.2603
Ca2 0.8897 0.9792 0.7397
Ca3 0.6103 0.9792 0.7397
Ca4 0.1103 0.0208 0.2603
Ca5 0.8904 0.0203 0.2376
Ca6 0.3904 0.9797 0.7624
Ca7 0.1096 0.9797 0.7624
Ca8 0.6096 0.0203 0.2376
Ca9 0.8906 0.4885 0.0106
Ca10 0.3906 0.5115 0.9894
Ca11 0.1094 0.5115 0.9894
Ca12 0.6094 0.4885 0.0106
Ca13 0.3897 0.4882 0.4890
Ca14 0.8897 0.5118 0.5110
Ca15 0.6103 0.5118 0.5110
Ca16 0.1103 0.4882 0.4890
Co1 0.2500 0.4470 0.7197
Co2 0.7500 0.5530 0.2803
Co3 0.2500 0.5524 0.2188
Co4 0.7500 0.4476 0.7812
Co5 0.2500 0.0438 0.0289
Co6 0.7500 0.9562 0.9711
Co7 0.2500 0.9556 0.5302
Co8 0.7500 0.0444 0.4698
Co9 0.5000 0.0000 0.5000
Co10 0.0000 0.0000 0.5000
Co11 0.5000 0.0000 0.0000
Co12 0.0000 0.0000 0.0000
Co13 0.4997 0.5087 0.2490
Co14 0.9997 0.4913 0.7510
Co15 0.5003 0.4913 0.7510
Co16 0.0003 0.5087 0.2490
O1 0.2500 0.0827 0.6935
O2 0.7500 0.9173 0.3065
O3 0.2500 0.9163 0.1934
O4 0.7500 0.0837 0.8066
O5 0.2500 0.5900 0.5582
O6 0.7500 0.4100 0.4418
O7 0.2500 0.4106 0.0583
O8 0.7500 0.5894 0.9417
O9 0.3583 0.0259 0.4675
O10 0.8583 0.9741 0.5325
O11 0.6417 0.9741 0.5325
O12 0.1417 0.0259 0.4675
O13 0.8578 0.0255 0.0324
O14 0.3578 0.9745 0.9676
O15 0.1422 0.9745 0.9676
O16 0.6422 0.0255 0.0324
O17 0.8591 0.4923 0.2176
O18 0.3591 0.5077 0.7824
O19 0.1409 0.5077 0.7824
O20 0.6409 0.4923 0.2176
O21 0.3591 0.4924 0.2827
O22 0.8591 0.5076 0.7173
O23 0.6409 0.5076 0.7173
O24 0.1409 0.4924 0.2827
O25 0.4902 0.2301 0.6215
O26 0.9902 0.7699 0.3785
O27 0.5098 0.7699 0.3785
O28 0.0098 0.2301 0.6215
O29 0.4897 0.7539 0.1327
O30 0.9897 0.2461 0.8673
O31 0.5103 0.2461 0.8673
O32 0.0103 0.7539 0.1327
O33 0.9852 0.2720 0.3719
O34 0.4852 0.7280 0.6281
O35 0.0148 0.7280 0.6281
O36 0.5148 0.2720 0.3719
O37 0.4842 0.2544 0.1207
O38 0.9842 0.7456 0.8793
O39 0.5158 0.7456 0.8793
O40 0.0158 0.2544 0.1207

Properties
The value obtained for the distance to the lowest polymorph of the same formula is 182.0 meV per atom. As for the calculated formation energy: -2008.4 meV per atom. The total magnetization comes out at 0.05 μB per atom.


3.
Entry from the Materials Project: a geometry-optimized Ca3Co2O7 structure (PBE+U).

a = 5.2946 Å, b = 10.0069 Å, c = 5.4057 Å
α = 90.09°, β = 89.84°, γ = 105.29°
Positions (direct):
Ca1 0.7592 0.0042 0.6994
Ca2 0.2454 0.0042 0.1994
Ca3 0.5705 0.6248 0.7912
Ca4 0.4276 0.3701 0.2928
Ca5 0.9417 0.3700 0.7927
Ca6 0.0546 0.6248 0.2912
Co1 0.6520 0.8049 0.2493
Co2 0.8463 0.1953 0.2477
Co3 0.3487 0.1953 0.7477
Co4 0.1532 0.8049 0.7491
O1 0.3307 0.0046 0.7670
O2 0.6737 0.0045 0.2671
O3 0.0020 0.6052 0.7436
O4 0.9949 0.3891 0.2412
O5 0.6029 0.6051 0.2446
O6 0.3940 0.3891 0.7416
O7 0.3683 0.7795 0.0583
O8 0.6531 0.2256 0.5378
O9 0.4121 0.7797 0.5587
O10 0.5723 0.2257 0.0377
O11 0.8910 0.8321 0.9321
O12 0.1247 0.1645 0.4591
O13 0.0393 0.1646 0.9591
O14 0.9416 0.8320 0.4316

Properties
The value obtained for the distance to the lowest polymorph of the same formula is 2.2 meV per atom. As for the calculated formation energy: -2217.1 meV per atom. The total magnetization comes out at 0.00 μB per atom.